No. 1
Na5Si51: optimized geometry, GGA-PBE.

a = 18.0516 Å, b = 10.4150 Å, c = 25.5844 Å
α = 90.00°, β = 90.02°, γ = 90.00°
With the nearest neighbours (Å) after each atom.
Space group C2/m (No. 12)
Inequivalent atoms, fractional coordinates:
Na: 0.0000 0.0000 0.0000 x2  20 Si 3.21-3.38
Na: 0.0000 0.0000 0.3750 x4  28 Si 3.93-4.03
Na: 0.0000 0.5000 0.5000 x2  20 Si 3.19-3.39
Na: 0.1667 0.5000 0.3333 x4  20 Si 3.21-3.38
Na: 0.1667 0.5000 0.7083 x4  28 Si 3.93-4.02
Na: 0.1667 0.5000 0.9583 x4  28 Si 3.93-4.02
Si: 0.0000 0.0000 0.1254 x4  4 Si 2.36-2.37
Si: 0.9999 0.0000 0.2177 x4  4 Si 2.36-2.37
Si: 0.0025 0.3843 0.3762 x8  4 Si 2.37-2.41
Si: 0.0243 0.3040 0.0430 x8  4 Si 2.36-2.41
Si: 0.0268 0.3116 0.2903 x8  4 Si 2.37-2.41
Si: 0.0360 0.5000 0.8353 x4  4 Si 2.36-2.41
Si: 0.0412 0.5000 0.0880 x4  4 Si 2.36-2.41
Si: 0.0430 0.5000 0.2391 x4  4 Si 2.37-2.38
Si: 0.0618 0.1855 0.9058 x8  4 Si 2.37-2.38
Si: 0.0628 0.1880 0.7548 x8  4 Si 2.36-2.40
Si: 0.0653 0.1961 0.5020 x8  4 Si 2.36-2.41
Si: 0.1013 0.3038 0.8313 x8  4 Si 2.36-2.40
Si: 0.1039 0.3117 0.5787 x8  4 Si 2.37-2.41
Si: 0.1048 0.3140 0.4275 x8  4 Si 2.38
Si: 0.1236 0.0000 0.0942 x4  4 Si 2.37-2.38
Si: 0.1254 0.0000 0.2453 x4  4 Si 2.37-2.41
Si: 0.1311 0.0000 0.4980 x4  4 Si 2.36-2.40
Si: 0.1399 0.1884 0.0430 x8  4 Si 2.37-2.41
Si: 0.1424 0.1961 0.2904 x8  4 Si 2.36-2.41
Si: 0.1641 0.1156 0.9570 x8  4 Si 2.37-2.41
Si: 0.1667 0.5000 0.1156 x4  4 Si 2.36-2.37
Si: 0.1667 0.5000 0.2080 x4  4 Si 2.36-2.37
Si: 0.1670 0.5000 0.4587 x4  4 Si 2.36-2.38
Si: 0.1669 0.5000 0.5511 x4  4 Si 2.36-2.37
Si: 0.1692 0.1155 0.7097 x8  4 Si 2.36-2.41
Si: 0.1912 0.1958 0.3762 x8  4 Si 2.36-2.40
Si: 0.1937 0.1883 0.6238 x8  4 Si 2.37-2.40
Si: 0.2026 0.0000 0.1687 x4  4 Si 2.36-2.41
Si: 0.2076 0.0000 0.4213 x4  4 Si 2.36-2.40
Si: 0.2093 0.0000 0.5725 x4  4 Si 2.37-2.38
Si: 0.2294 0.3118 0.0881 x8  4 Si 2.37-2.40
Si: 0.2286 0.3145 0.2392 x8  4 Si 2.37-2.38
Si: 0.2320 0.3039 0.8354 x8  4 Si 2.36-2.40

Computed properties:
V: 21.47 Å³ per atom
energy relative to the elements: 0.09 eV per atom
uncorrected energy: -5.04 eV per atom

---

No. 2
Na4Si2Te5: optimized geometry, GGA-PBE.

a = 14.2484 Å, b = 12.9676 Å, c = 15.0680 Å
α = 90.00°, β = 92.09°, γ = 90.00°
With the nearest neighbours (Å) after each atom.
Space group P2_1/c (No. 14)
Inequivalent atoms, fractional coordinates:
Na: 0.0075 0.0928 0.2704 x4  5 Te 3.21-3.34
Na: 0.0777 0.1352 0.9276 x4  5 Te 3.19-3.33
Na: 0.1179 0.6349 0.9660 x4  6 Te 3.23-3.55
Na: 0.2104 0.1428 0.6519 x4  5 Te 3.16-3.45
Na: 0.3031 0.5890 0.3607 x4  5 Te 3.11-3.46
Na: 0.4031 0.6218 0.0600 x4  5 Te 3.19-3.29
Na: 0.4049 0.1228 0.0482 x4  6 Te 3.24-3.38
Na: 0.4873 0.1562 0.7651 x4  5 Te 3.20-3.35
Si: 0.1812 0.6928 0.7137 x4  1 Si 2.36, 3 Te 2.50-2.62
Si: 0.2222 0.5915 0.5908 x4  1 Si 2.36, 3 Te 2.49-2.61
Si: 0.2787 0.1596 0.4132 x4  1 Si 2.37, 3 Te 2.52-2.53
Si: 0.3242 0.0579 0.2910 x4  1 Si 2.37, 3 Te 2.50-2.59
Te: 0.0190 0.6585 0.7653 x4  1 Si 2.50
Te: 0.1095 0.6161 0.4622 x4  1 Si 2.49
Te: 0.1155 0.1153 0.4604 x4  1 Si 2.52
Te: 0.2062 0.0917 0.1598 x4  2 Si 2.59-2.61
Te: 0.2079 0.6224 0.1704 x4  1 Si 2.52
Te: 0.2862 0.1583 0.8526 x4  1 Si 2.53
Te: 0.3073 0.6348 0.8340 x4  2 Si 2.59-2.62
Te: 0.3884 0.6283 0.5509 x4  1 Si 2.51
Te: 0.3966 0.1276 0.5389 x4  1 Si 2.52
Te: 0.4900 0.0956 0.2520 x4  1 Si 2.50

Computed properties:
V: 31.62 Å³ per atom
energy relative to the elements: -0.79 eV per atom
uncorrected energy: -3.50 eV per atom